VASP calculation (PBE) on Ba2CeZrO6 after structural relaxation.

Geometry as POSCAR:
```
Ba2CeZrO6
1.0
0.000 4.369 4.369
4.369 0.000 4.369
4.369 4.369 0.000
Ba Ce Zr O
2 1 1 6
Direct
0.250 0.250 0.250 Ba
0.750 0.750 0.750 Ba
0.000 0.000 0.000 Ce
0.500 0.500 0.500 Zr
0.257 0.257 0.743 O
0.257 0.743 0.257 O
0.257 0.743 0.743 O
0.743 0.257 0.257 O
0.743 0.257 0.743 O
0.743 0.743 0.257 O
```

Results
DFT formation energy in eV per atom: -3.590
Total DFT energy (no corrections) in eV/f.u.: -79.789